Material: Mg14AlSb
Method: DFT, PBE
State: optimized geometry

The size of the total moment is 0.00 μB per atom. For the polymorph energy (0 for the lowest one), the calculation gives 18 meV/atom. For the electronic total energy, the calculation gives -1.90 eV/atom. Its formation energy from the elements is -0.020 eV/atom.

abc: 6.3419 6.4459 10.2933
angles: 90.00 90.00 120.54
Fractional positions:
Mg1 0.1674 0.8337 0.6250
Mg2 0.6663 0.3336 0.6250
Mg3 0.6663 0.8327 0.6250
Mg4 0.1678 0.3339 0.6250
Mg5 0.8319 0.6660 0.8730
Mg6 0.6682 0.3331 0.1250
Mg7 0.6682 0.8351 0.1250
Mg8 0.3328 0.1700 0.3740
Mg9 0.3328 0.1700 0.8760
Mg10 0.3328 0.6628 0.8760
Mg11 0.8362 0.1681 0.3733
Mg12 0.8319 0.6660 0.3770
Mg13 0.8362 0.1681 0.8767
Mg14 0.3328 0.6628 0.3740
Sb1 0.1650 0.8325 0.1250
Al1 0.1631 0.3316 0.1250

=====

Material: Mg16Al12Sb
Method: DFT, PBE
State: optimized geometry

The size of the total moment is 0.00 μB per atom. For the electronic total energy, the calculation gives -2.59 eV/atom. Its formation energy from the elements is -0.021 eV/atom.

abc: 9.1125 9.1125 9.1125
angles: 109.13 109.13 109.13
Fractional positions:
Mg1 0.6542 0.0017 0.0017
Mg2 0.9984 0.9984 0.9984
Mg3 0.3163 0.3163 0.7136
Mg4 0.6815 0.9987 0.4024
Mg5 0.7136 0.3163 0.3163
Mg6 0.0017 0.0017 0.6542
Mg7 0.0017 0.6542 0.0017
Mg8 0.6815 0.4024 0.9987
Mg9 0.4024 0.9987 0.6815
Mg10 0.9987 0.4024 0.6815
Mg11 0.6003 0.6003 0.2910
Mg12 0.6003 0.2910 0.6003
Mg13 0.9987 0.6815 0.4024
Mg14 0.4024 0.6815 0.9987
Mg15 0.2910 0.6003 0.6003
Mg16 0.3163 0.7136 0.3163
Al1 0.6390 0.8266 0.6390
Al2 0.8167 0.8167 0.1858
Al3 0.1858 0.8167 0.8167
Al4 0.3681 0.1819 0.9929
Al5 0.8266 0.6390 0.6390
Al6 0.8167 0.1858 0.8167
Al7 0.1819 0.9929 0.3681
Al8 0.3681 0.9929 0.1819
Al9 0.9929 0.3681 0.1819
Al10 0.1819 0.3681 0.9929
Al11 0.9929 0.1819 0.3681
Al12 0.6390 0.6390 0.8266
Sb1 0.3318 0.3318 0.3318

=====

Material: Mg14AlSb
Method: DFT, PBE
State: optimized geometry

The size of the total moment is 0.00 μB per atom. For the polymorph energy (0 for the lowest one), the calculation gives 0 meV/atom. For the electronic total energy, the calculation gives -1.92 eV/atom. Its formation energy from the elements is -0.038 eV/atom.

abc: 6.3613 6.3613 10.2915
angles: 90.00 90.00 120.00
Fractional positions:
Al1 0.1667 0.3333 0.1250
Mg1 0.6671 0.3341 0.6250
Mg2 0.3339 0.1661 0.8777
Mg3 0.1670 0.8335 0.1250
Mg4 0.8322 0.1661 0.3723
Mg5 0.8333 0.6667 0.8747
Mg6 0.6671 0.8329 0.6250
Mg7 0.6665 0.3330 0.1250
Mg8 0.8333 0.6667 0.3753
Mg9 0.3339 0.6678 0.3723
Mg10 0.6665 0.8335 0.1250
Mg11 0.3339 0.6678 0.8777
Mg12 0.3339 0.1661 0.3723
Mg13 0.8322 0.1661 0.8777
Mg14 0.1659 0.8329 0.6250
Sb1 0.1667 0.3333 0.6250

=====

Material: MgSc5Al4
Method: DFT, PBE
State: optimized geometry

The size of the total moment is 0.00 μB per atom. For the electronic total energy, the calculation gives -5.19 eV/atom. Its formation energy from the elements is -0.369 eV/atom.

abc: 3.3544 3.3544 17.6616
angles: 90.00 90.00 90.00
Fractional positions:
Sc1 0.0000 0.0000 0.6959
Sc2 0.0000 0.0000 0.3041
Sc3 0.0000 0.0000 0.1087
Sc4 0.0000 0.0000 0.8913
Sc5 0.0000 0.0000 0.5000
Al1 0.5000 0.5000 0.5985
Al2 0.5000 0.5000 0.4015
Al3 0.5000 0.5000 0.7962
Al4 0.5000 0.5000 0.2038
Mg1 0.5000 0.5000 0.0000

=====

Material: Mg16ScAl12
Method: DFT, PBE
State: optimized geometry

The size of the total moment is 0.00 μB per atom. For the polymorph energy (0 for the lowest one), the calculation gives 13 meV/atom. For the electronic total energy, the calculation gives -2.70 eV/atom. Its formation energy from the elements is -0.049 eV/atom.

abc: 9.1603 9.1603 9.0183
angles: 70.75 70.75 109.59
Fractional positions:
Mg1 0.3377 0.9967 0.0068
Mg2 0.7153 0.3989 0.6028
Mg3 0.3989 0.7153 0.6028
Mg4 0.5982 0.0016 0.6853
Mg5 0.0057 0.0057 0.6490
Mg6 0.4011 0.4011 0.2804
Mg7 0.2886 0.6838 0.3157
Mg8 0.6044 0.3136 0.9976
Mg9 0.9967 0.3377 0.0068
Mg10 0.0007 0.0007 0.0023
Mg11 0.3136 0.6044 0.9976
Mg12 0.0016 0.5982 0.6853
Mg13 0.0000 0.3181 0.3952
Mg14 0.6838 0.2886 0.3157
Mg15 0.6551 0.6551 0.3505
Mg16 0.3181 0.0000 0.3952
Al1 0.1794 0.3644 0.6338
Al2 0.6343 0.0000 0.1821
Al3 0.3644 0.1794 0.6338
Al4 0.0000 0.6343 0.1821
Al5 0.1847 0.1847 0.1800
Al6 0.3719 0.3719 0.8148
Al7 0.8135 0.6336 0.9979
Al8 0.1842 0.8217 0.8121
Al9 0.6336 0.8135 0.9979
Al10 0.8117 0.9963 0.3714
Al11 0.8217 0.1842 0.8121
Al12 0.9963 0.8117 0.3714
Sc1 0.6848 0.6848 0.7215

=====

Material: Mg16ScAl12
Method: DFT, PBE
State: optimized geometry

The size of the total moment is 0.00 μB per atom. For the polymorph energy (0 for the lowest one), the calculation gives 0 meV/atom. For the electronic total energy, the calculation gives -2.71 eV/atom. Its formation energy from the elements is -0.061 eV/atom.

abc: 9.1015 9.1015 9.1015
angles: 109.47 109.47 109.47
Fractional positions:
Mg1 0.6820 0.2847 0.6820
Mg2 0.0000 0.3498 0.0000
Mg3 0.6502 0.6502 0.6502
Mg4 0.6027 0.3180 0.0000
Mg5 0.3973 0.7153 0.3973
Mg6 0.3973 0.3973 0.7153
Mg7 0.6027 0.0000 0.3180
Mg8 0.3498 0.0000 0.0000
Mg9 0.2847 0.6820 0.6820
Mg10 0.0000 0.3180 0.6027
Mg11 0.0000 0.6027 0.3180
Mg12 0.0000 0.0000 0.3498
Mg13 0.3180 0.6027 0.0000
Mg14 0.7153 0.3973 0.3973
Mg15 0.3180 0.0000 0.6027
Mg16 0.6820 0.6820 0.2847
Al1 0.3657 0.1806 0.3657
Al2 0.8194 0.1851 0.1851
Al3 0.1851 0.1851 0.8194
Al4 0.8149 0.0000 0.6343
Al5 0.6343 0.0000 0.8149
Al6 0.1851 0.8194 0.1851
Al7 0.6343 0.8149 0.0000
Al8 0.1806 0.3657 0.3657
Al9 0.8149 0.6343 0.0000
Al10 0.0000 0.8149 0.6343
Al11 0.0000 0.6343 0.8149
Al12 0.3657 0.3657 0.1806
Sc1 0.0000 0.0000 0.0000